First-principles (PBE) data for crystalline Na2IrN2 at its relaxed geometry, as listed in the Materials Project.

Unit cell a=3.2276 b=3.2276 c=8.5050 alpha=90.00 beta=90.00 gamma=120.00
Last column: nearest neighbours and their distance in Å.
Fractional positions:
Na  0.6667  0.3333  0.2922  3 N 2.41
Na  0.3333  0.6667  0.7078  3 N 2.41
Ir  0.0000  0.0000  0.0000  6 N 2.10
N  0.6667  0.3333  0.8870  3 Ir 2.10
N  0.3333  0.6667  0.1130  3 Ir 2.10

V   15.3 A^3/atom
Energy above the lowest structure with this stoichiometry   0.08 eV/f.u.
Calculated formation energy   141 meV/atom
DFT total energy   -5.346 eV/atom
Size of the total moment   0.006 μB/f.u.